Entry 1:
# GGA+U Ba2CrBiO6, relaxed
# total energy = -64.112 eV/f.u.
# symmetry = Pn-3
data_Ba2CrBiO6
_cell_length_a 8.408
_cell_length_b 8.408
_cell_length_c 8.408
_cell_angle_alpha 90.00
_cell_angle_beta 90.00
_cell_angle_gamma 90.00
_space_group_name_H-M_alt 'P 1'
_space_group_IT_number 1
_space_group_name_Hall 'P 1'
loop_
_atom_site_label
_atom_site_type_symbol
_atom_site_fract_x
_atom_site_fract_y
_atom_site_fract_z
Ba1 Ba 0.500 0.500 0.500
Ba2 Ba 0.000 0.000 0.000
Ba3 Ba 0.000 0.000 0.500
Ba4 Ba 0.000 0.500 0.000
Ba5 Ba 0.500 0.000 0.000
Ba6 Ba 0.500 0.500 0.000
Ba7 Ba 0.500 0.000 0.500
Ba8 Ba 0.000 0.500 0.500
Cr1 Cr 0.250 0.250 0.250
Cr2 Cr 0.250 0.750 0.750
Cr3 Cr 0.750 0.250 0.750
Cr4 Cr 0.750 0.750 0.250
Bi1 Bi 0.750 0.750 0.750
Bi2 Bi 0.750 0.250 0.250
Bi3 Bi 0.250 0.750 0.250
Bi4 Bi 0.250 0.250 0.750
O1 O 0.242 0.260 0.486
O2 O 0.242 0.740 0.514
O3 O 0.758 0.260 0.514
O4 O 0.758 0.740 0.486
O5 O 0.260 0.486 0.242
O6 O 0.740 0.514 0.242
O7 O 0.260 0.514 0.758
O8 O 0.740 0.486 0.758
O9 O 0.486 0.242 0.260
O10 O 0.514 0.242 0.740
O11 O 0.514 0.758 0.260
O12 O 0.486 0.758 0.740
O13 O 0.258 0.240 0.014
O14 O 0.258 0.760 0.986
O15 O 0.742 0.240 0.986
O16 O 0.742 0.760 0.014
O17 O 0.240 0.014 0.258
O18 O 0.760 0.986 0.258
O19 O 0.240 0.986 0.742
O20 O 0.760 0.014 0.742
O21 O 0.014 0.258 0.240
O22 O 0.986 0.258 0.760
O23 O 0.986 0.742 0.240
O24 O 0.014 0.742 0.760

Entry 2:
# GGA+U BaSrCrBiO6, relaxed
# total energy = -64.083 eV/f.u.
# symmetry = F-43m
data_BaSrCrBiO6
_cell_length_a 5.857
_cell_length_b 5.857
_cell_length_c 5.857
_cell_angle_alpha 60.00
_cell_angle_beta 60.00
_cell_angle_gamma 60.00
_space_group_name_H-M_alt 'P 1'
_space_group_IT_number 1
_space_group_name_Hall 'P 1'
loop_
_atom_site_label
_atom_site_type_symbol
_atom_site_fract_x
_atom_site_fract_y
_atom_site_fract_z
Ba1 Ba 0.750 0.750 0.750
Sr1 Sr 0.250 0.250 0.250
Cr1 Cr 0.500 0.500 0.500
Bi1 Bi 0.000 0.000 0.000
O1 O 0.745 0.255 0.255
O2 O 0.255 0.745 0.745
O3 O 0.745 0.255 0.745
O4 O 0.255 0.745 0.255
O5 O 0.745 0.745 0.255
O6 O 0.255 0.255 0.745

Entry 3:
# GGA+U Ba2Fe4Bi2O11, relaxed
# total energy = -118.497 eV/f.u.
# symmetry = P4mm
data_Ba2Fe4Bi2O11
_cell_length_a 3.988
_cell_length_b 3.988
_cell_length_c 16.604
_cell_angle_alpha 90.00
_cell_angle_beta 90.00
_cell_angle_gamma 90.00
_space_group_name_H-M_alt 'P 1'
_space_group_IT_number 1
_space_group_name_Hall 'P 1'
loop_
_atom_site_label
_atom_site_type_symbol
_atom_site_fract_x
_atom_site_fract_y
_atom_site_fract_z
Ba1 Ba 0.500 0.500 0.863
Ba2 Ba 0.500 0.500 0.615
Fe1 Fe 0.000 0.000 0.001
Fe2 Fe 0.000 0.000 0.760
Fe3 Fe 0.000 0.000 0.248
Fe4 Fe 0.000 0.000 0.486
Bi1 Bi 0.500 0.500 0.103
Bi2 Bi 0.500 0.500 0.350
O1 O 0.500 0.000 0.512
O2 O 0.000 0.500 0.512
O3 O 0.500 0.000 0.743
O4 O 0.000 0.500 0.743
O5 O 0.500 0.000 0.264
O6 O 0.000 0.500 0.264
O7 O 0.000 0.000 0.881
O8 O 0.000 0.000 0.130
O9 O 0.500 0.000 0.017
O10 O 0.000 0.500 0.017
O11 O 0.000 0.000 0.373

Entry 4:
# GGA+U BaSrFeBiO6, relaxed
# total energy = -61.373 eV/f.u.
# symmetry = F-43m
data_BaSrFeBiO6
_cell_length_a 5.876
_cell_length_b 5.876
_cell_length_c 5.876
_cell_angle_alpha 60.00
_cell_angle_beta 60.00
_cell_angle_gamma 60.00
_space_group_name_H-M_alt 'P 1'
_space_group_IT_number 1
_space_group_name_Hall 'P 1'
loop_
_atom_site_label
_atom_site_type_symbol
_atom_site_fract_x
_atom_site_fract_y
_atom_site_fract_z
Ba1 Ba 0.250 0.250 0.250
Sr1 Sr 0.750 0.750 0.750
Fe1 Fe 0.500 0.500 0.500
Bi1 Bi 0.000 0.000 0.000
O1 O 0.744 0.256 0.256
O2 O 0.256 0.744 0.744
O3 O 0.744 0.256 0.744
O4 O 0.256 0.744 0.256
O5 O 0.744 0.744 0.256
O6 O 0.256 0.256 0.744

Entry 5:
# GGA+U BaTiFe3Bi3O12, relaxed
# total energy = -133.117 eV/f.u.
# symmetry = R3
data_BaTiFe3Bi3O12
_cell_length_a 9.980
_cell_length_b 9.980
_cell_length_c 9.980
_cell_angle_alpha 33.00
_cell_angle_beta 33.00
_cell_angle_gamma 33.00
_space_group_name_H-M_alt 'P 1'
_space_group_IT_number 1
_space_group_name_Hall 'P 1'
loop_
_atom_site_label
_atom_site_type_symbol
_atom_site_fract_x
_atom_site_fract_y
_atom_site_fract_z
Ba1 Ba 0.259 0.259 0.259
Ti1 Ti 0.879 0.879 0.879
Fe1 Fe 0.386 0.386 0.386
Fe2 Fe 0.634 0.634 0.634
Fe3 Fe 0.137 0.137 0.137
Bi1 Bi 0.744 0.744 0.744
Bi2 Bi 0.993 0.993 0.993
Bi3 Bi 0.493 0.493 0.493
O1 O 0.800 0.754 0.248
O2 O 0.351 0.206 0.751
O3 O 0.754 0.248 0.800
O4 O 0.206 0.751 0.351
O5 O 0.248 0.800 0.754
O6 O 0.751 0.351 0.206
O7 O 0.074 0.519 0.952
O8 O 0.584 0.005 0.464
O9 O 0.519 0.952 0.074
O10 O 0.005 0.464 0.584
O11 O 0.952 0.074 0.519
O12 O 0.464 0.584 0.005

Entry 6:
# GGA+U KBaBiWO6, relaxed
# ΔE to the lowest computed polymorph = 0.000 eV per atom
# total energy = -64.307 eV/f.u.
# symmetry = F-43m
data_KBaBiWO6
_cell_length_a 6.080
_cell_length_b 6.080
_cell_length_c 6.080
_cell_angle_alpha 60.00
_cell_angle_beta 60.00
_cell_angle_gamma 60.00
_space_group_name_H-M_alt 'P 1'
_space_group_IT_number 1
_space_group_name_Hall 'P 1'
loop_
_atom_site_label
_atom_site_type_symbol
_atom_site_fract_x
_atom_site_fract_y
_atom_site_fract_z
K1 K 0.250 0.250 0.250
Ba1 Ba 0.750 0.750 0.750
Bi1 Bi 0.000 0.000 0.000
W1 W 0.500 0.500 0.500
O1 O 0.728 0.272 0.272
O2 O 0.272 0.728 0.728
O3 O 0.728 0.272 0.728
O4 O 0.272 0.728 0.272
O5 O 0.728 0.728 0.272
O6 O 0.272 0.272 0.728

Entry 7:
# GGA+U KBaBiWO6, relaxed
# ΔE to the lowest computed polymorph = 0.004 eV per atom
# total energy = -64.266 eV/f.u.
# symmetry = Pnnn
data_KBaBiWO6
_cell_length_a 8.606
_cell_length_b 8.589
_cell_length_c 8.600
_cell_angle_alpha 90.00
_cell_angle_beta 90.00
_cell_angle_gamma 90.00
_space_group_name_H-M_alt 'P 1'
_space_group_IT_number 1
_space_group_name_Hall 'P 1'
loop_
_atom_site_label
_atom_site_type_symbol
_atom_site_fract_x
_atom_site_fract_y
_atom_site_fract_z
K1 K 0.500 0.000 0.500
K2 K 0.500 0.500 0.000
K3 K 0.000 0.500 0.000
K4 K 0.000 0.000 0.500
Ba1 Ba 0.000 0.500 0.500
Ba2 Ba 0.500 0.000 0.000
Ba3 Ba 0.000 0.000 0.000
Ba4 Ba 0.500 0.500 0.500
Bi1 Bi 0.750 0.750 0.750
Bi2 Bi 0.250 0.250 0.750
Bi3 Bi 0.250 0.750 0.250
Bi4 Bi 0.750 0.250 0.250
W1 W 0.250 0.250 0.250
W2 W 0.750 0.750 0.250
W3 W 0.750 0.250 0.750
W4 W 0.250 0.750 0.750
O1 O 0.023 0.233 0.266
O2 O 0.977 0.767 0.266
O3 O 0.977 0.233 0.734
O4 O 0.023 0.767 0.734
O5 O 0.265 0.022 0.227
O6 O 0.265 0.978 0.773
O7 O 0.735 0.978 0.227
O8 O 0.735 0.022 0.773
O9 O 0.232 0.259 0.023
O10 O 0.768 0.259 0.977
O11 O 0.232 0.741 0.977
O12 O 0.768 0.741 0.023
O13 O 0.477 0.267 0.234
O14 O 0.523 0.733 0.234
O15 O 0.523 0.267 0.766
O16 O 0.477 0.733 0.766
O17 O 0.235 0.478 0.273
O18 O 0.235 0.522 0.727
O19 O 0.765 0.522 0.273
O20 O 0.765 0.478 0.727
O21 O 0.268 0.241 0.477
O22 O 0.732 0.241 0.523
O23 O 0.268 0.759 0.523
O24 O 0.732 0.759 0.477

Entry 8:
# GGA+U BaNaMnBiO6, relaxed
# total energy = -58.779 eV/f.u.
# symmetry = F-43m
data_BaNaMnBiO6
_cell_length_a 5.809
_cell_length_b 5.809
_cell_length_c 5.809
_cell_angle_alpha 60.00
_cell_angle_beta 60.00
_cell_angle_gamma 60.00
_space_group_name_H-M_alt 'P 1'
_space_group_IT_number 1
_space_group_name_Hall 'P 1'
loop_
_atom_site_label
_atom_site_type_symbol
_atom_site_fract_x
_atom_site_fract_y
_atom_site_fract_z
Ba1 Ba 0.750 0.750 0.750
Na1 Na 0.250 0.250 0.250
Mn1 Mn 0.500 0.500 0.500
Bi1 Bi 0.000 0.000 0.000
O1 O 0.740 0.260 0.260
O2 O 0.260 0.740 0.740
O3 O 0.740 0.260 0.740
O4 O 0.260 0.740 0.260
O5 O 0.740 0.740 0.260
O6 O 0.260 0.260 0.740

| no. | formation energy from the elements (meV/atom) |
| --- | --- |
| 1 | -2316.5 |
| 2 | -2336.5 |
| 3 | -1850.1 |
| 4 | -2209.4 |
| 5 | -2093.0 |
| 6 | -2330.1 |
| 7 | -2326.1 |
| 8 | -1858.8 |